## Gd2GeB2O8 (PBE-GGA)

Data for a geometry-optimized Gd2GeB2O8 structure.

Cell: 13.633 4.460 9.435 Å, 90.00 90.00 90.00°
Space group Pbcn (No. 60)
One atom of each set of equivalent atoms:
Gd  0.140  0.041  0.027 [8 per cell]
Ge  0.000  0.423  0.750 [4 per cell]
B  0.200  0.470  0.298 [8 per cell]
O  0.005  0.202  0.902 [8 per cell]
O  0.107  0.345  0.233 [8 per cell]
O  0.192  0.464  0.451 [8 per cell]
O  0.216  0.218  0.742 [8 per cell]

Values from the calculation:
Calculated volume = 574 Å³ per cell
DFT formation energy = -3.175 eV per atom